# CrFe2Te4 (PBE, optimized geometry)
# Formation energy ... -0.1779 eV/atom
# Magnetic moment ... 7.7 μB/f.u.
# Excess energy over the best structure of this formula in the dataset ... 8.4 kJ per mole of atoms
# E_tot ... -38.72 eV per cell
# SG ... P-1, No. 2
data_CrFe2Te4
_space_group_name_H-M_alt 'P 1'
_space_group_IT_number 1
_cell_length_a 3.7317
_cell_length_b 6.6990
_cell_length_c 7.9065
_cell_angle_alpha 105.05
_cell_angle_beta 61.32
_cell_angle_gamma 90.03
loop_
_space_group_symop_operation_xyz
'x,y,z'
loop_
_atom_site_label
_atom_site_fract_x
_atom_site_fract_y
_atom_site_fract_z
_atom_site_occupancy
Fe1 0.2500 0.7500 0.5000 1
Te1 0.5125 0.9746 0.7302 1
Cr1 0.7500 0.2500 0.5000 1
Te2 0.4929 0.9826 0.2609 1
Te3 0.9875 0.5254 0.2698 1
Te4 0.0071 0.5174 0.7391 1
Fe2 0.2500 0.7500 0.0000 1